Record 1
The following is a DFT calculation (PBE with a Hubbard U) of a relaxed structure of MgCo6O8F4.

a = 5.1821 Å, b = 5.1821 Å, c = 8.8125 Å
α = 91.87°, β = 91.87°, γ = 73.87°
Closest atoms and distances in Å follow each position.
Fractional coordinates of all 19 atoms:
1 Mg 0.0000 0.0000 0.0000  1 F 1.89, 3 O 1.92-2.01
2 Co 0.2774 0.2774 0.3406  4 O 1.79-1.93, 1 F 1.95
3 Co 0.2838 0.2838 0.6371  3 O 1.98-2.05, 3 F 2.01-2.16
4 Co 0.3241 0.3241 0.9873  3 O 1.92-1.93, 3 F 1.92-2.10
5 Co 0.6979 0.6979 0.4847  5 O 1.85-2.06
6 Co 0.7356 0.7356 0.8085  4 O 1.86-1.96
7 Co 0.7387 0.7387 0.1630  2 O 1.92, 1 F 1.97
8 O 0.0003 0.6141 0.9729  2 Co 1.92-1.96, 1 Mg 2.01
9 O 0.1744 0.1744 0.1497  2 Co 1.85-1.93, 1 Mg 1.92
10 O 0.4495 0.4495 0.4704  1 Co 1.79
11 O 0.5535 0.9280 0.6438  3 Co 1.85-1.98
12 O 0.5678 0.9501 0.3344  3 Co 1.87-1.93
13 O 0.6141 0.0003 0.9729  2 Co 1.92-1.96, 1 Mg 2.01
14 O 0.9280 0.5535 0.6438  3 Co 1.85-1.98
15 O 0.9501 0.5678 0.3344  3 Co 1.87-1.93
16 F 0.1003 0.1003 0.4802  2 Co 1.95-2.01
17 F 0.1287 0.1287 0.8276  1 Mg 1.89, 1 Co 2.10
18 F 0.4717 0.4717 0.8077  3 Co 2.04-2.19
19 F 0.5012 0.5012 0.1353  2 Co 1.92-1.97

Calculated values
energy of formation from the pure elements	-1.51	eV/atom
total moment	18.0	μB per formula unit
theoretical density	4.25	g/cm3
space group	Cm

=====

Record 2
The following is a DFT calculation (PBE with a Hubbard U) of a relaxed structure of Fe2O2F3.

a = 5.6705 Å, b = 5.6705 Å, c = 7.0393 Å
α = 107.40°, β = 107.40°, γ = 53.72°
Closest atoms and distances in Å follow each position.
Fractional coordinates of all 14 atoms:
1 Fe 0.1894 0.2001 0.3785  3 F 1.94-2.06, 3 O 1.95-1.97
2 Fe 0.2001 0.1894 0.8785  3 F 1.94-2.06, 3 O 1.95-1.97
3 Fe 0.7999 0.8106 0.1215  3 F 1.94-2.06, 3 O 1.95-1.97
4 Fe 0.8106 0.7999 0.6215  3 F 1.94-2.06, 3 O 1.95-1.97
5 O 0.0495 0.3789 0.6411  3 Fe 1.95-1.97
6 O 0.3789 0.0495 0.1411  3 Fe 1.95-1.97
7 O 0.6211 0.9505 0.8589  3 Fe 1.95-1.97
8 O 0.9505 0.6211 0.3589  3 Fe 1.95-1.97
9 F 0.1228 0.8772 0.7500  2 Fe 1.97
10 F 0.1852 0.5676 0.0352  2 Fe 1.94-2.06
11 F 0.4324 0.8148 0.4648  2 Fe 1.94-2.06
12 F 0.5676 0.1852 0.5352  2 Fe 1.94-2.06
13 F 0.8148 0.4324 0.9648  2 Fe 1.94-2.06
14 F 0.8772 0.1228 0.2500  2 Fe 1.97

Calculated values
energy of formation from the pure elements	-1.98	eV/atom
total moment	9.0	μB per formula unit
theoretical density	3.88	g/cm3
space group	C2/c

=====

Record 3
The following is a DFT calculation (PBE with a Hubbard U) of a relaxed structure of Fe2S3O17.

a = 5.5301 Å, b = 11.6415 Å, c = 10.9232 Å
α = 90.00°, β = 95.10°, γ = 90.00°
Closest atoms and distances in Å follow each position.
Fractional coordinates of all 44 atoms:
1 Fe 0.0000 0.0000 0.0000  6 O 1.85-2.03
2 Fe 0.0000 0.5000 0.0000  6 O 1.85-2.03
3 Fe 0.3884 0.2500 0.6292  6 O 1.77-1.96
4 Fe 0.6116 0.7500 0.3708  6 O 1.77-1.96
5 S 0.1764 0.0067 0.7247  4 O 1.46-1.53
6 S 0.1764 0.4933 0.7247  4 O 1.46-1.53
7 S 0.3059 0.7500 0.0980  4 O 1.45-1.51
8 S 0.6941 0.2500 0.9020  4 O 1.45-1.51
9 S 0.8236 0.5067 0.2753  4 O 1.46-1.53
10 S 0.8236 0.9933 0.2753  4 O 1.46-1.53
11 O 0.0598 0.0364 0.3266  1 S 1.46
12 O 0.0598 0.4636 0.3266  1 S 1.46
13 O 0.1465 0.6487 0.0689  1 S 1.49
14 O 0.1465 0.8513 0.0689  1 S 1.49
15 O 0.1871 0.1351 0.7039  1 S 1.51
16 O 0.1871 0.3649 0.7039  1 S 1.51
17 O 0.2090 0.5090 0.8639  1 S 1.53
18 O 0.2090 0.9910 0.8639  1 S 1.53
19 O 0.2364 0.2500 0.4796  1 Fe 1.77
20 O 0.2471 0.0782 0.0902  1 Fe 1.85
21 O 0.2471 0.4218 0.0902  1 Fe 1.85
22 O 0.3537 0.7500 0.2363  1 S 1.51
23 O 0.3771 0.5536 0.6749  1 S 1.46
24 O 0.3771 0.9464 0.6749  1 S 1.46
25 O 0.4412 0.6566 0.4575  1 Fe 1.77
26 O 0.4412 0.8434 0.4575  1 Fe 1.77
27 O 0.4758 0.2500 0.9656  1 S 1.45
28 O 0.5242 0.7500 0.0344  1 S 1.45
29 O 0.5588 0.1566 0.5425  1 Fe 1.77
30 O 0.5588 0.3434 0.5425  1 Fe 1.77
31 O 0.6229 0.0536 0.3251  1 S 1.46
32 O 0.6229 0.4464 0.3251  1 S 1.46
33 O 0.6463 0.2500 0.7637  1 S 1.51
34 O 0.7529 0.5782 0.9098  1 Fe 1.85
35 O 0.7529 0.9218 0.9098  1 Fe 1.85
36 O 0.7635 0.7500 0.5204  1 Fe 1.77
37 O 0.7910 0.0090 0.1361  1 S 1.53
38 O 0.7910 0.4910 0.1361  1 S 1.53
39 O 0.8129 0.6351 0.2961  1 S 1.51
40 O 0.8129 0.8649 0.2961  1 S 1.51
41 O 0.8535 0.1487 0.9311  1 S 1.49
42 O 0.8535 0.3513 0.9311  1 S 1.49
43 O 0.9402 0.5364 0.6734  1 S 1.46
44 O 0.9402 0.9636 0.6734  1 S 1.46

Calculated values
energy of formation from the pure elements	-0.95	eV/atom
total moment	14.0	μB per formula unit
theoretical density	2.28	g/cm3
space group	P2_1/m

=====

Record 4
The following is a DFT calculation (PBE with a Hubbard U) of a relaxed structure of Li4Mn3V3W2O16.

a = 6.0916 Å, b = 6.0916 Å, c = 9.8458 Å
α = 91.11°, β = 91.11°, γ = 60.14°
Closest atoms and distances in Å follow each position.
Fractional coordinates of all 28 atoms:
1 Li 0.0000 0.0000 0.0000  2 O 1.87-2.08
2 Li 0.0010 0.0010 0.4994  1 O 1.83
3 Li 0.3470 0.3470 0.0776  4 O 1.98-2.08
4 Li 0.6783 0.6783 0.5820  4 O 2.03-2.10
5 Mn 0.1752 0.1752 0.7762  6 O 2.04-2.24
6 Mn 0.3449 0.8362 0.2785  6 O 2.05-2.30
7 Mn 0.8362 0.3449 0.2785  6 O 2.05-2.30
8 V 0.1705 0.6638 0.7711  6 O 1.97-2.20
9 V 0.6638 0.1705 0.7711  6 O 1.97-2.20
10 V 0.8322 0.8322 0.2635  4 O 1.84-1.98
11 W 0.3408 0.3408 0.5006  6 O 1.92-2.04
12 W 0.6699 0.6699 0.9982  6 O 1.92-2.05
13 O 0.0514 0.4963 0.6354  1 V 2.00, 1 Li 2.03, 1 W 2.04, 1 Mn 2.22
14 O 0.1753 0.6516 0.3983  1 W 1.94, 1 Li 2.09
15 O 0.1781 0.1781 0.4101  1 W 1.92, 1 Li 2.08
16 O 0.3510 0.3510 0.8770  2 V 1.97, 1 Li 1.98, 1 Mn 2.08
17 O 0.3512 0.8259 0.9022  1 W 1.92, 1 Li 2.10
18 O 0.4864 0.4864 0.6367  1 W 2.02, 1 Li 2.10, 2 V 2.14
19 O 0.4963 0.0514 0.6354  1 V 2.00, 1 Li 2.03, 1 W 2.04, 1 Mn 2.22
20 O 0.5334 0.5334 0.1297  1 W 1.96, 1 Li 2.02, 2 Mn 2.17
21 O 0.5457 0.9674 0.1327  1 V 1.98, 1 W 2.05, 1 Li 2.08
22 O 0.6516 0.1753 0.3983  1 W 1.94, 1 Li 2.09
23 O 0.6952 0.6952 0.3768  1 V 1.84, 1 Li 2.03
24 O 0.8259 0.3512 0.9022  1 W 1.92, 1 Li 2.10
25 O 0.8282 0.8282 0.8929  1 W 1.98, 1 Li 2.08, 2 V 2.18
26 O 0.9674 0.5457 0.1327  1 V 1.98, 1 W 2.05, 1 Li 2.08
27 O 0.9923 0.9923 0.1892  1 V 1.85, 1 Li 1.87, 2 Mn 2.05
28 O 0.9991 0.9991 0.6856  1 Li 1.83, 2 V 1.97, 1 Mn 2.04

Calculated values
energy of formation from the pure elements	-2.31	eV/atom
total moment	20.0	μB per formula unit
theoretical density	5.08	g/cm3
space group	Cm

=====

Record 5
The following is a DFT calculation (PBE with a Hubbard U) of a relaxed structure of CsNi2F6.

a = 7.2662 Å, b = 7.2662 Å, c = 7.2662 Å
α = 120.59°, β = 117.94°, γ = 91.30°
Closest atoms and distances in Å follow each position.
Fractional coordinates of all 18 atoms:
1 Cs 0.3776 0.1276 0.2500  6 F 3.05-3.20
2 Cs 0.6224 0.8724 0.7500  6 F 3.05-3.20
3 Ni 0.0000 0.0000 0.5000  6 F 1.96-2.02
4 Ni 0.0000 0.5000 0.0000  6 F 1.96-2.02
5 Ni 0.0000 0.5000 0.5000  6 F 1.87-2.01
6 Ni 0.5000 0.5000 0.0000  6 F 1.87-2.01
7 F 0.0700 0.4359 0.2616  2 Ni 1.87-2.02
8 F 0.0700 0.8084 0.6342  2 Ni 1.87-2.02
9 F 0.0773 0.8273 0.2500  2 Ni 1.96
10 F 0.3213 0.5713 0.7500  2 Ni 2.01
11 F 0.3257 0.1916 0.7616  2 Ni 1.87-2.02
12 F 0.3257 0.5641 0.1342  2 Ni 1.87-2.02
13 F 0.6743 0.4359 0.8658  2 Ni 1.87-2.02
14 F 0.6743 0.8084 0.2384  2 Ni 1.87-2.02
15 F 0.6787 0.4287 0.2500  2 Ni 2.01
16 F 0.9227 0.1727 0.7500  2 Ni 1.96
17 F 0.9300 0.1916 0.3658  2 Ni 1.87-2.02
18 F 0.9300 0.5641 0.7384  2 Ni 1.87-2.02

Calculated values
energy of formation from the pure elements	-2.35	eV/atom
total moment	3.0	μB per formula unit
theoretical density	4.41	g/cm3
space group	Imma

=====

Record 6
The following is a DFT calculation (PBE with a Hubbard U) of a relaxed structure of Ba2NiMoO6.

a = 5.7873 Å, b = 5.7873 Å, c = 10.0239 Å
α = 90.00°, β = 73.22°, γ = 60.00°
Closest atoms and distances in Å follow each position.
Fractional coordinates of all 20 atoms:
1 Ba 0.7500 0.1250 0.3750  12 O 2.89
2 Ba 0.7500 0.6250 0.8750  12 O 2.89
3 Ba 0.2500 0.3750 0.1250  12 O 2.89
4 Ba 0.2500 0.8750 0.6250  12 O 2.89
5 Ni 0.0000 0.0000 0.0000  6 O 2.13
6 Ni 0.0000 0.5000 0.5000  6 O 2.13
7 Mo 0.5000 0.7500 0.2500  6 O 1.96
8 Mo 0.5000 0.2500 0.7500  6 O 1.96
9 O 0.2605 0.6303 0.3697  1 Mo 1.96, 1 Ni 2.13
10 O 0.2605 0.1303 0.8697  1 Mo 1.96, 1 Ni 2.13
11 O 0.7395 0.6303 0.3697  1 Mo 1.96, 1 Ni 2.13
12 O 0.7395 0.1303 0.8697  1 Mo 1.96, 1 Ni 2.13
13 O 0.7395 0.3908 0.1303  1 Mo 1.96, 1 Ni 2.13
14 O 0.7395 0.8908 0.6303  1 Mo 1.96, 1 Ni 2.13
15 O 0.7395 0.8697 0.1303  1 Mo 1.96, 1 Ni 2.13
16 O 0.7395 0.3697 0.6303  1 Mo 1.96, 1 Ni 2.13
17 O 0.2605 0.8697 0.1303  1 Mo 1.96, 1 Ni 2.13
18 O 0.2605 0.3697 0.6303  1 Mo 1.96, 1 Ni 2.13
19 O 0.2605 0.1092 0.3697  1 Mo 1.96, 1 Ni 2.13
20 O 0.2605 0.6092 0.8697  1 Mo 1.96, 1 Ni 2.13

Calculated values
energy of formation from the pure elements	-2.45	eV/atom
total moment	0.0	μB per formula unit
theoretical density	6.36	g/cm3

=====

Record 7
The following is a DFT calculation (PBE with a Hubbard U) of a relaxed structure of MnOF.

a = 5.6246 Å, b = 4.6779 Å, c = 11.7083 Å
α = 90.00°, β = 118.15°, γ = 90.00°
Closest atoms and distances in Å follow each position.
Fractional coordinates of all 24 atoms:
1 Mn 0.0240 0.0373 0.3737  4 O 1.95-2.11, 2 F 2.15-2.16
2 Mn 0.0240 0.4627 0.8737  4 O 1.95-2.11, 2 F 2.15-2.16
3 Mn 0.4763 0.0485 0.1243  2 O 1.93-1.97, 3 F 1.95-2.10
4 Mn 0.4763 0.4515 0.6243  2 O 1.93-1.97, 3 F 1.95-2.10
5 Mn 0.5237 0.5485 0.3757  2 O 1.93-1.97, 3 F 1.95-2.10
6 Mn 0.5237 0.9515 0.8757  2 O 1.93-1.97, 3 F 1.95-2.10
7 Mn 0.9760 0.5373 0.1263  4 O 1.95-2.11, 2 F 2.15-2.16
8 Mn 0.9760 0.9627 0.6263  4 O 1.95-2.11, 2 F 2.15-2.16
9 O 0.1585 0.2144 0.5440  3 Mn 1.93-2.07
10 O 0.1585 0.2856 0.0440  3 Mn 1.93-2.07
11 O 0.1805 0.1613 0.7930  3 Mn 1.97-2.11
12 O 0.1805 0.3387 0.2930  3 Mn 1.97-2.11
13 O 0.8195 0.6613 0.7070  3 Mn 1.97-2.11
14 O 0.8195 0.8387 0.2070  3 Mn 1.97-2.11
15 O 0.8415 0.7144 0.9560  3 Mn 1.93-2.07
16 O 0.8415 0.7856 0.4560  3 Mn 1.93-2.07
17 F 0.3271 0.6907 0.7115  3 Mn 1.95-2.16
18 F 0.3271 0.8093 0.2115  3 Mn 1.95-2.16
19 F 0.3623 0.7452 0.9679  3 Mn 1.96-2.16
20 F 0.3623 0.7548 0.4679  3 Mn 1.96-2.16
21 F 0.6377 0.2452 0.5321  3 Mn 1.96-2.16
22 F 0.6377 0.2548 0.0321  3 Mn 1.96-2.16
23 F 0.6729 0.1907 0.7885  3 Mn 1.95-2.16
24 F 0.6729 0.3093 0.2885  3 Mn 1.95-2.16

Calculated values
energy of formation from the pure elements	-2.29	eV/atom
total moment	4.0	μB per formula unit
theoretical density	4.40	g/cm3
space group	P2_1/c

=====

Record 8
The following is a DFT calculation (PBE with a Hubbard U) of a relaxed structure of LiCoPO4.

a = 8.5899 Å, b = 8.5899 Å, c = 8.5899 Å
α = 107.85°, β = 107.85°, γ = 107.85°
Closest atoms and distances in Å follow each position.
Fractional coordinates of all 42 atoms:
1 Li 0.0212 0.1913 0.7875  4 O 1.97-2.03
2 Li 0.1913 0.7875 0.0212  4 O 1.97-2.03
3 Li 0.3043 0.7014 0.4837  4 O 1.95-1.99
4 Li 0.4837 0.3043 0.7014  4 O 1.95-1.99
5 Li 0.7014 0.4837 0.3043  4 O 1.95-1.99
6 Li 0.7875 0.0212 0.1913  4 O 1.97-2.03
7 Co 0.1439 0.9679 0.3784  4 O 1.97-2.01
8 Co 0.3784 0.1439 0.9679  4 O 1.97-2.01
9 Co 0.4570 0.6783 0.8619  4 O 1.97-1.99
10 Co 0.6783 0.8619 0.4570  4 O 1.97-1.99
11 Co 0.8619 0.4570 0.6783  4 O 1.97-1.99
12 Co 0.9679 0.3784 0.1439  4 O 1.97-2.01
13 P 0.0385 0.8173 0.6320  4 O 1.55-1.56
14 P 0.1217 0.3446 0.5271  4 O 1.55-1.56
15 P 0.3446 0.5271 0.1217  4 O 1.55-1.56
16 P 0.5271 0.1217 0.3446  4 O 1.55-1.56
17 P 0.6320 0.0385 0.8173  4 O 1.55-1.56
18 P 0.8173 0.6320 0.0385  4 O 1.55-1.56
19 O 0.0128 0.3303 0.6414  1 P 1.56
20 O 0.1481 0.8228 0.5175  1 P 1.56
21 O 0.1714 0.8915 0.8367  1 P 1.56
22 O 0.2233 0.2240 0.5430  1 P 1.56
23 O 0.2240 0.5430 0.2233  1 P 1.56
24 O 0.2662 0.5444 0.6046  1 P 1.55
25 O 0.2744 0.3240 0.9885  1 P 1.56
26 O 0.3240 0.9885 0.2744  1 P 1.56
27 O 0.3303 0.6414 0.0128  1 P 1.56
28 O 0.5175 0.1481 0.8228  1 P 1.56
29 O 0.5430 0.2233 0.2240  1 P 1.56
30 O 0.5444 0.6046 0.2662  1 P 1.55
31 O 0.5591 0.8929 0.6197  1 P 1.55
32 O 0.6046 0.2662 0.5444  1 P 1.55
33 O 0.6115 0.9397 0.9398  1 P 1.56
34 O 0.6197 0.5591 0.8929  1 P 1.55
35 O 0.6414 0.0128 0.3303  1 P 1.56
36 O 0.8228 0.5175 0.1481  1 P 1.56
37 O 0.8367 0.1714 0.8915  1 P 1.56
38 O 0.8915 0.8367 0.1714  1 P 1.56
39 O 0.8929 0.6197 0.5591  1 P 1.55
40 O 0.9398 0.6115 0.9397  1 P 1.56
41 O 0.9397 0.9398 0.6115  1 P 1.56
42 O 0.9885 0.2744 0.3240  1 P 1.56

Calculated values
energy of formation from the pure elements	-2.40	eV/atom
total moment	3.0	μB per formula unit
theoretical density	3.11	g/cm3
space group	R3

=====

Record 9
The following is a DFT calculation (PBE with a Hubbard U) of a relaxed structure of Li9Mn2Co5O16.

a = 5.0589 Å, b = 7.7349 Å, c = 7.8032 Å
α = 98.00°, β = 101.56°, γ = 102.92°
Closest atoms and distances in Å follow each position.
Fractional coordinates of all 32 atoms:
1 Li 0.0000 0.0000 0.0000  4 O 1.99-2.19
2 Li 0.0010 0.4962 0.4938  6 O 2.06-2.21
3 Li 0.0085 0.2541 0.7558  6 O 2.05-2.21
4 Li 0.4902 0.6149 0.3588  5 O 2.06-2.18
5 Li 0.4944 0.1342 0.8823  6 O 2.08-2.23
6 Li 0.4973 0.4955 0.9994  6 O 2.07-2.15
7 Li 0.5013 0.8666 0.1186  6 O 2.06-2.23
8 Li 0.5039 0.3738 0.6310  6 O 2.07-2.21
9 Li 0.9816 0.7389 0.2396  6 O 2.04-2.25
10 Mn 0.4984 0.9955 0.4990  6 O 1.93-1.96
11 Mn 0.9987 0.6240 0.8780  6 O 1.90-2.00
12 Co 0.9997 0.3742 0.1137  6 O 1.91-2.12
13 Co 0.0001 0.8707 0.6227  6 O 1.97-2.07
14 Co 0.4964 0.2518 0.2430  5 O 1.89-2.05
15 Co 0.4974 0.7394 0.7554  5 O 1.88-2.07
16 Co 0.9938 0.1293 0.3690  6 O 1.96-2.17
17 O 0.2226 0.6222 0.1044  1 Mn 1.90, 1 Co 2.01, 3 Li 2.04-2.10
18 O 0.2280 0.2472 0.0068  2 Co 1.91-2.05, 4 Li 1.99-2.11
19 O 0.2374 0.8606 0.8665  1 Mn 1.98, 2 Co 2.04-2.06, 3 Li 2.11-2.20
20 O 0.2478 0.5176 0.7493  1 Co 1.88, 1 Mn 2.00, 1 Li 2.09
21 O 0.2516 0.3617 0.3619  3 Co 1.96-2.12, 2 Li 2.06-2.14
22 O 0.2537 0.1048 0.6168  1 Mn 1.95, 2 Co 1.98-2.17, 2 Li 2.14-2.16
23 O 0.2622 0.7631 0.5006  1 Mn 1.93, 1 Co 2.03, 1 Li 2.15
24 O 0.2673 0.0161 0.2725  1 Mn 1.96, 2 Co 2.00-2.01
25 O 0.7248 0.9835 0.7277  1 Mn 1.94, 2 Co 2.04
26 O 0.7398 0.1327 0.1374  3 Co 1.94-2.09, 2 Li 2.11-2.13
27 O 0.7417 0.8808 0.3836  1 Mn 1.95, 2 Co 2.07-2.09, 3 Li 2.12-2.18
28 O 0.7462 0.4747 0.2464  2 Co 1.89-2.02, 2 Li 2.06-2.11
29 O 0.7477 0.2249 0.4990  1 Mn 1.93, 1 Co 1.96, 1 Li 2.12
30 O 0.7633 0.7473 0.9840  1 Mn 1.92, 1 Co 1.99, 4 Li 2.02-2.14
31 O 0.7687 0.3910 0.8752  1 Mn 1.91, 1 Co 2.03, 3 Li 2.05-2.07
32 O 0.7766 0.6329 0.6402  2 Co 1.97-2.07, 1 Mn 1.99, 2 Li 2.11-2.15

Calculated values
energy of formation from the pure elements	-1.82	eV/atom
total moment	12.0	μB per formula unit
theoretical density	4.20	g/cm3
space group	P1